Record 1
The following is a DFT calculation (PBE-GGA) of a geometry-optimized CuH11C6NO5 structure.

Cell and atoms, written as CIF:
```
data_CuH11C6NO5
_chemical_formula_sum 'Cu8 H88 C48 N8 O40'
_symmetry_space_group_name_H-M 'C 1 2/c 1'
_symmetry_Int_Tables_number 15
_symmetry_space_group_name_Hall '-C 2yc'
_cell_length_a 16.219
_cell_length_b 10.059
_cell_length_c 15.298
_cell_angle_alpha 90.00
_cell_angle_beta 120.29
_cell_angle_gamma 90.00
loop_
_atom_site_label
_atom_site_type_symbol
_atom_site_fract_x
_atom_site_fract_y
_atom_site_fract_z
Cu1 Cu 0.079 0.160 0.247
H1 H 0.049 0.194 0.961
H2 H 0.078 0.246 0.726
H3 H 0.079 0.439 0.516
H4 H 0.100 0.418 0.713
H5 H 0.103 0.460 0.936
H6 H 0.130 0.075 0.044
H7 H 0.141 0.113 0.659
H8 H 0.163 0.176 0.972
H9 H 0.164 0.339 0.833
H10 H 0.191 0.426 0.519
H11 H 0.247 0.144 0.659
C1 C 0.064 0.020 0.887
C2 C 0.072 0.338 0.388
C3 C 0.104 0.123 0.970
C4 C 0.114 0.441 0.471
C5 C 0.133 0.323 0.751
C6 C 0.211 0.286 0.729
N1 N 0.195 0.176 0.673
O1 O 0.009 0.290 0.134
O2 O 0.025 0.010 0.150
O3 O 0.121 0.030 0.362
O4 O 0.121 0.308 0.346
O5 O 0.217 0.142 0.239
```

Values from the calculation:
calculated formation energy: -0.672 eV/atom
raw total energy: -5.9395 eV/atom

***

Record 2
The following is a DFT calculation (PBE-GGA) of a geometry-optimized CuH14C4N4O8 structure.

Cell and atoms, written as CIF:
```
data_CuH14C4N4O8
_chemical_formula_sum 'Cu2 H28 C8 N8 O16'
_symmetry_space_group_name_H-M 'P 1 21/c 1'
_symmetry_Int_Tables_number 14
_symmetry_space_group_name_Hall '-P 2ybc'
_cell_length_a 9.159
_cell_length_b 8.329
_cell_length_c 8.035
_cell_angle_alpha 90.00
_cell_angle_beta 99.12
_cell_angle_gamma 90.00
loop_
_atom_site_label
_atom_site_type_symbol
_atom_site_fract_x
_atom_site_fract_y
_atom_site_fract_z
Cu1 Cu 0.000 0.000 0.000
H1 H 0.067 0.201 0.327
H2 H 0.208 0.506 0.940
H3 H 0.283 0.168 0.545
H4 H 0.286 0.744 0.533
H5 H 0.335 0.077 0.926
H6 H 0.367 0.067 0.119
H7 H 0.438 0.720 0.692
C1 C 0.013 0.733 0.765
C2 C 0.369 0.545 0.145
N1 N 0.270 0.045 0.543
N2 N 0.367 0.705 0.118
O1 O 0.055 0.594 0.727
O2 O 0.062 0.703 0.406
O3 O 0.288 0.100 0.027
O4 O 0.459 0.019 0.764
```

Values from the calculation:
calculated formation energy: -0.883 eV/atom
raw total energy: -5.9135 eV/atom

***

The highest calculated formation energy belongs to which entry? CuH11C6NO5

***

What is the raw total energy in the first record? -5.9395 eV/atom